# MgFeF6

A geometry-optimized MgFeF6 structure (GGA+U, Materials Project).

Symmetry   R-3
ΔE_f   -2116.6 kJ/mol of formula units

Cell: 5.4174 5.4174 5.4174 Å, 58.28 58.28 58.28°
Fractional coordinates of all 8 atoms:
Mg1 0.5000 0.5000 0.5000
Fe1 0.0000 0.0000 0.0000
F1 0.6718 0.8455 0.2396
F2 0.8455 0.2396 0.6718
F3 0.7604 0.3282 0.1545
F4 0.1545 0.7604 0.3282
F5 0.3282 0.1545 0.7604
F6 0.2396 0.6718 0.8455

---

# MgFe3OF7

A geometry-optimized MgFe3OF7 structure (GGA+U, Materials Project).

Symmetry   R3m
ΔE_f   -2905.8 kJ/mol of formula units
Energy relative to the lowest polymorph listed for this composition   1.94 kcal/mol of atoms

Cell: 5.9388 5.9388 5.9388 Å, 115.60 115.60 64.40°
Fractional coordinates of all 12 atoms:
Mg1 0.9883 0.9883 0.0117
Fe1 0.3936 0.3936 0.1499
Fe2 0.3936 0.8501 0.6064
Fe3 0.8501 0.3936 0.6064
O1 0.6186 0.6186 0.3814
F1 0.1291 0.1291 0.8709
F2 0.1189 0.1189 0.3911
F3 0.1189 0.6089 0.8811
F4 0.1541 0.6240 0.3760
F5 0.6089 0.1189 0.8811
F6 0.6240 0.1541 0.3760
F7 0.6240 0.6240 0.8459

---

# MgFe6O8F4

A geometry-optimized MgFe6O8F4 structure (GGA+U, Materials Project).

Symmetry   P1
ΔE_f   -3495.6 kJ/mol of formula units
Energy relative to the lowest polymorph listed for this composition   0.72 kcal/mol of atoms

Cell: 5.2387 5.2275 9.0350 Å, 87.70 91.50 105.08°
Fractional coordinates of all 19 atoms:
Mg1 0.3045 0.6882 0.0151
Fe1 0.9461 0.0511 0.0054
Fe2 0.0027 0.0017 0.3362
Fe3 0.0384 0.9586 0.6451
Fe4 0.5925 0.4186 0.1932
Fe5 0.5512 0.4407 0.8162
Fe6 0.4283 0.5717 0.4949
O1 0.1910 0.8098 0.4921
O2 0.2956 0.3123 0.9937
O3 0.3066 0.3099 0.3300
O4 0.2960 0.3009 0.6651
O5 0.6833 0.6997 0.0003
O6 0.6975 0.6947 0.3338
O7 0.6943 0.7041 0.6672
O8 0.8161 0.1879 0.1691
F1 0.1514 0.8481 0.1587
F2 0.1539 0.8401 0.8501
F3 0.7902 0.2063 0.8352
F4 0.8519 0.1501 0.4986

---

# MgFe4O4F4

A geometry-optimized MgFe4O4F4 structure (GGA+U, Materials Project).

Symmetry   P1
ΔE_f   -2737.9 kJ/mol of formula units
Energy relative to the lowest polymorph listed for this composition   0.59 kcal/mol of atoms

Cell: 5.2658 10.6827 3.0643 Å, 90.51 96.68 97.68°
Fractional coordinates of all 13 atoms:
Mg1 0.9995 0.2389 0.5304
Fe1 0.0056 0.9579 0.0334
Fe2 0.0521 0.4959 0.0134
Fe3 0.5366 0.3607 0.3496
Fe4 0.3881 0.7632 0.5727
O1 0.2245 0.4166 0.5530
O2 0.2013 0.8959 0.5750
O3 0.2635 0.6561 0.0501
O4 0.7903 0.3254 0.9497
F1 0.2277 0.1953 0.0834
F2 0.6612 0.8234 0.0876
F3 0.8390 0.0637 0.4871
F4 0.8107 0.5426 0.4647

---

# MgFe4O4F4

A geometry-optimized MgFe4O4F4 structure (GGA+U, Materials Project).

Symmetry   P1
ΔE_f   -2727.2 kJ/mol of formula units
Energy relative to the lowest polymorph listed for this composition   0.78 kcal/mol of atoms

Cell: 5.2538 9.8271 3.1824 Å, 98.20 90.38 98.35°
Fractional coordinates of all 13 atoms:
Mg1 0.4653 0.4738 0.3133
Fe1 0.0699 0.9846 0.0910
Fe2 0.9682 0.5273 0.8635
Fe3 0.5693 0.1930 0.6909
Fe4 0.4450 0.7689 0.4959
O1 0.2015 0.8841 0.5484
O2 0.3899 0.1421 0.1665
O3 0.3352 0.6336 0.9358
O4 0.6216 0.3901 0.7818
F1 0.1018 0.4066 0.3132
F2 0.6790 0.8632 0.0342
F3 0.8791 0.1070 0.6473
F4 0.7741 0.6258 0.4098

---

# MgFe6O7F5

A geometry-optimized MgFe6O7F5 structure (GGA+U, Materials Project).

Symmetry   P1
ΔE_f   -3719.8 kJ/mol of formula units
Energy relative to the lowest polymorph listed for this composition   0.87 kcal/mol of atoms

Cell: 5.3031 5.1856 8.9624 Å, 88.97 90.01 102.96°
Fractional coordinates of all 19 atoms:
Mg1 0.9705 0.4873 0.3534
Fe1 0.0227 0.9417 0.9734
Fe2 0.0119 0.9971 0.3250
Fe3 0.0790 0.9923 0.6513
Fe4 0.5167 0.4641 0.1564
Fe5 0.4163 0.5396 0.8404
Fe6 0.4485 0.5756 0.4939
O1 0.1815 0.7816 0.4884
O2 0.1915 0.7893 0.8187
O3 0.2857 0.2815 0.0028
O4 0.2807 0.3394 0.3263
O5 0.3403 0.3237 0.6593
O6 0.6770 0.6979 0.9926
O7 0.6994 0.6872 0.3310
F1 0.1471 0.7780 0.1572
F2 0.6977 0.7353 0.6561
F3 0.7822 0.2436 0.1918
F4 0.8878 0.1399 0.8154
F5 0.8636 0.1911 0.5023

---

# MgFe10O9F11

A geometry-optimized MgFe10O9F11 structure (GGA+U, Materials Project).

Symmetry   Pm
ΔE_f   -6172.3 kJ/mol of formula units
Energy relative to the lowest polymorph listed for this composition   0.54 kcal/mol of atoms

Cell: 4.8776 4.8960 15.4275 Å, 90.00 90.00 95.15°
Fractional coordinates of all 31 atoms:
Mg1 0.0151 0.5172 0.7000
Fe1 0.9730 0.9910 0.9998
Fe2 0.9841 0.9942 0.2000
Fe3 0.9730 0.9910 0.4002
Fe4 0.0625 0.0200 0.5958
Fe5 0.0625 0.0200 0.8042
Fe6 0.4817 0.4956 0.1030
Fe7 0.4710 0.4802 0.4883
Fe8 0.4817 0.4956 0.2970
Fe9 0.4977 0.5436 0.7000
Fe10 0.4710 0.4802 0.9117
O1 0.2444 0.8558 0.7000
O2 0.2713 0.2955 0.0060
O3 0.2794 0.2958 0.2000
O4 0.2713 0.2955 0.3940
O5 0.2827 0.3780 0.5947
O6 0.2827 0.3780 0.8053
O7 0.6889 0.6832 0.0024
O8 0.6847 0.6931 0.2000
O9 0.6889 0.6832 0.3976
F1 0.1734 0.8071 0.1017
F2 0.1734 0.8071 0.2983
F3 0.2120 0.8145 0.4864
F4 0.2120 0.8145 0.9136
F5 0.7732 0.6727 0.5988
F6 0.7732 0.6727 0.8012
F7 0.7861 0.1768 0.1015
F8 0.7731 0.1774 0.4946
F9 0.7861 0.1768 0.2985
F10 0.7731 0.1774 0.9054
F11 0.7854 0.1857 0.7000

---

# MgFe6O10F2

A geometry-optimized MgFe6O10F2 structure (GGA+U, Materials Project).

Symmetry   P1
ΔE_f   -3184.3 kJ/mol of formula units
Energy relative to the lowest polymorph listed for this composition   0.80 kcal/mol of atoms

Cell: 8.1772 5.9497 5.7479 Å, 66.64 65.35 62.62°
Fractional coordinates of all 19 atoms:
Mg1 0.3201 0.1950 0.6555
Fe1 0.7974 0.6495 0.6628
Fe2 0.6718 0.3593 0.3552
Fe3 0.3409 0.6686 0.6652
Fe4 0.1084 0.3040 0.2975
Fe5 0.5321 0.0161 0.0337
Fe6 0.9924 0.9836 0.0056
O1 0.6316 0.0340 0.6451
O2 0.3095 0.3279 0.9495
O3 0.9470 0.1843 0.2445
O4 0.6239 0.5451 0.6070
O5 0.0607 0.8057 0.7677
O6 0.4039 0.4878 0.4080
O7 0.3489 0.0153 0.3919
O8 0.6895 0.6543 0.0402
O9 0.0204 0.3011 0.6971
O10 0.9710 0.6797 0.2964
F1 0.2906 0.8731 0.9340
F2 0.6992 0.1419 0.0812

---

# MgFe12O12F12

A geometry-optimized MgFe12O12F12 structure (GGA+U, Materials Project).

Symmetry   Pm
ΔE_f   -7407.5 kJ/mol of formula units
Energy relative to the lowest polymorph listed for this composition   0.43 kcal/mol of atoms

Cell: 9.8781 14.9726 3.1336 Å, 90.00 90.00 84.94°
Fractional coordinates of all 37 atoms:
Mg1 0.2515 0.6715 0.5000
Fe1 0.0078 0.9995 0.0000
Fe2 0.9833 0.3158 0.0000
Fe3 0.9741 0.6567 0.0000
Fe4 0.2169 0.1473 0.5000
Fe5 0.2255 0.3559 0.5000
Fe6 0.2912 0.8980 0.5000
Fe7 0.5319 0.3492 0.0000
Fe8 0.5339 0.0128 0.0000
Fe9 0.5524 0.6860 0.0000
Fe10 0.7518 0.1441 0.5000
Fe11 0.7240 0.5021 0.5000
Fe12 0.7364 0.8440 0.5000
O1 0.0871 0.2591 0.5000
O2 0.1057 0.9296 0.5000
O3 0.1524 0.0900 0.0000
O4 0.1294 0.4006 0.0000
O5 0.3756 0.9344 0.0000
O6 0.4093 0.3736 0.5000
O7 0.6175 0.9541 0.5000
O8 0.6089 0.6258 0.5000
O9 0.6520 0.1114 0.0000
O10 0.6438 0.4397 0.0000
O11 0.6521 0.7903 0.0000
O12 0.9065 0.0568 0.5000
F1 0.0964 0.5965 0.5000
F2 0.1509 0.7322 0.0000
F3 0.3060 0.2292 0.0000
F4 0.3669 0.6259 0.0000
F5 0.4096 0.0842 0.5000
F6 0.3777 0.7697 0.5000
F7 0.6283 0.2692 0.5000
F8 0.8505 0.2216 0.0000
F9 0.8550 0.8922 0.0000
F10 0.8459 0.5561 0.0000
F11 0.8852 0.3797 0.5000
F12 0.8851 0.7341 0.5000

---

# MgFe12O12F12

A geometry-optimized MgFe12O12F12 structure (GGA+U, Materials Project).

Symmetry   Pm
ΔE_f   -7295.0 kJ/mol of formula units
Energy relative to the lowest polymorph listed for this composition   1.16 kcal/mol of atoms

Cell: 9.5678 14.6605 3.1044 Å, 90.00 90.00 91.47°
Fractional coordinates of all 37 atoms:
Mg1 0.2658 0.0113 0.0000
Fe1 0.9832 0.0079 0.0000
Fe2 0.0047 0.3426 0.0000
Fe3 0.0083 0.6618 0.0000
Fe4 0.2093 0.1848 0.5000
Fe5 0.2484 0.4862 0.5000
Fe6 0.2670 0.8424 0.5000
Fe7 0.4934 0.3466 0.0000
Fe8 0.5632 0.9830 0.0000
Fe9 0.5233 0.6616 0.0000
Fe10 0.7439 0.1550 0.5000
Fe11 0.7213 0.4973 0.5000
Fe12 0.7438 0.8202 0.5000
O1 0.0835 0.2819 0.5000
O2 0.1335 0.9525 0.5000
O3 0.1381 0.1156 0.0000
O4 0.1427 0.4424 0.0000
O5 0.3658 0.8960 0.0000
O6 0.3965 0.3972 0.5000
O7 0.6365 0.9228 0.5000
O8 0.5912 0.5962 0.5000
O9 0.6465 0.1105 0.0000
O10 0.6518 0.4313 0.0000
O11 0.6651 0.7562 0.0000
O12 0.8936 0.0620 0.5000
F1 0.1152 0.6007 0.5000
F2 0.1638 0.7725 0.0000
F3 0.3379 0.2371 0.0000
F4 0.3462 0.5645 0.0000
F5 0.3663 0.0726 0.5000
F6 0.4018 0.7268 0.5000
F7 0.5862 0.2711 0.5000
F8 0.8413 0.2393 0.0000
F9 0.8787 0.8853 0.0000
F10 0.8439 0.5596 0.0000
F11 0.8929 0.4036 0.5000
F12 0.9125 0.7295 0.5000

---

# MgFe6O8F4

A geometry-optimized MgFe6O8F4 structure (GGA+U, Materials Project).

Symmetry   P1
ΔE_f   -3438.5 kJ/mol of formula units
Energy relative to the lowest polymorph listed for this composition   1.44 kcal/mol of atoms

Cell: 4.7040 4.7041 10.7893 Å, 96.37 96.35 88.26°
Fractional coordinates of all 19 atoms:
Mg1 0.7496 0.7471 0.7996
Fe1 0.9664 0.9655 0.0513
Fe2 0.0449 0.0443 0.3220
Fe3 0.0536 0.0532 0.5931
Fe4 0.5001 0.4994 0.1568
Fe5 0.3795 0.3785 0.8914
Fe6 0.5954 0.5949 0.4694
O1 0.2034 0.7967 0.1811
O2 0.2615 0.8521 0.4656
O3 0.2555 0.2551 0.0329
O4 0.2724 0.2730 0.7220
O5 0.6591 0.6576 0.9857
O6 0.7778 0.7771 0.6254
O7 0.7972 0.2025 0.1810
O8 0.8523 0.2608 0.4656
F1 0.1394 0.7482 0.8760
F2 0.3464 0.3460 0.3241
F3 0.7304 0.7297 0.3170
F4 0.7483 0.1376 0.8756

---

# MgFe12O12F12

A geometry-optimized MgFe12O12F12 structure (GGA+U, Materials Project).

Symmetry   Pm
ΔE_f   -7345.6 kJ/mol of formula units
Energy relative to the lowest polymorph listed for this composition   0.83 kcal/mol of atoms

Cell: 9.6186 14.4676 3.1316 Å, 90.00 90.00 91.99°
Fractional coordinates of all 37 atoms:
Mg1 0.3515 0.7880 0.0000
Fe1 0.9737 0.0117 0.0000
Fe2 0.0243 0.3220 0.0000
Fe3 0.0062 0.6662 0.0000
Fe4 0.2320 0.1622 0.5000
Fe5 0.2463 0.4812 0.5000
Fe6 0.2425 0.9695 0.5000
Fe7 0.4937 0.3442 0.0000
Fe8 0.5343 0.9947 0.0000
Fe9 0.5489 0.6338 0.0000
Fe10 0.7392 0.1588 0.5000
Fe11 0.7520 0.4787 0.5000
Fe12 0.7180 0.8216 0.5000
O1 0.0977 0.2610 0.5000
O2 0.0469 0.9432 0.5000
O3 0.1664 0.0904 0.0000
O4 0.1545 0.4302 0.0000
O5 0.3567 0.9202 0.0000
O6 0.4058 0.3993 0.5000
O7 0.6076 0.9322 0.5000
O8 0.6264 0.5852 0.5000
O9 0.6422 0.1099 0.0000
O10 0.6662 0.4231 0.0000
O11 0.6140 0.7611 0.0000
O12 0.8882 0.0781 0.5000
F1 0.1168 0.5928 0.5000
F2 0.1588 0.7591 0.0000
F3 0.3479 0.2323 0.0000
F4 0.3631 0.5615 0.0000
F5 0.4099 0.0729 0.5000
F6 0.3971 0.7138 0.5000
F7 0.5879 0.2701 0.5000
F8 0.8392 0.2445 0.0000
F9 0.8258 0.8793 0.0000
F10 0.8657 0.5501 0.0000
F11 0.9156 0.3930 0.5000
F12 0.8764 0.7234 0.5000